Here is EuBiPd2 after structural relaxation from the Materials Project. Energies are from r2SCAN.

Properties
Space group = Fm-3m
Volume = 86.1 Å³/f.u.
Calculated formation energy = -0.595 eV/atom

Structure (POSCAR):
```
EuBiPd2
1.0
0.0000 3.5042 3.5042
3.5042 0.0000 3.5042
3.5042 3.5042 0.0000
Eu Bi Pd
1 1 2
Direct
0.0000 0.0000 0.0000
0.5000 0.5000 0.5000
0.2500 0.2500 0.2500
0.7500 0.7500 0.7500
```

Here is ScTaN2 after structural relaxation from the Materials Project. Energies are from r2SCAN.

Properties
Space group = P6_3/mmc
Volume = 43.2 Å³/f.u.
Calculated formation energy = -1.864 eV/atom

Structure (POSCAR):
```
ScTaN2
1.0
3.0631 0.0000 0.0000
-1.5315 2.6527 0.0000
0.0000 0.0000 10.6231
Sc Ta N
2 2 4
Direct
0.0000 0.0000 0.0000
0.0000 0.0000 0.5000
0.3333 0.6667 0.2500
0.6667 0.3333 0.7500
0.3333 0.6667 0.6243
0.3333 0.6667 0.8757
0.6667 0.3333 0.1243
0.6667 0.3333 0.3757
```

Number 1: final energy -36.33 eV/atom. Number 2: final energy -21.43 eV/atom.